No. 1
! CdI2 (GGA-PBE, relaxed); values from VASP
! - Magnetic moment: 0.000 μB/cell
&SYSTEM
  ibrav = 0, nat = 12, ntyp = 2
/
ATOMIC_SPECIES
Cd 112.41 Cd.upf
I 126.90 I.upf
CELL_PARAMETERS angstrom
-1.8112 -24.9196 -15.7810
1.2953 -26.4358 -13.1445
-2.8878 -26.8370 -12.0308
ATOMIC_POSITIONS crystal
Cd 0.5833 0.5833 0.5833
Cd 0.5000 0.5000 0.5000
Cd 0.0000 0.0000 0.0000
Cd 0.4167 0.4167 0.4167
I 0.7305 0.7305 0.7305
I 0.3528 0.3528 0.3528
I 0.8972 0.8972 0.8972
I 0.1028 0.1028 0.1028
I 0.2695 0.2695 0.2695
I 0.6472 0.6472 0.6472
I 0.1862 0.1862 0.1862
I 0.8138 0.8138 0.8138

No. 2
! CdI2 (GGA-PBE, relaxed); values from VASP
! - Magnetic moment: 0.001 μB/cell
&SYSTEM
  ibrav = 0, nat = 33, ntyp = 2
/
ATOMIC_SPECIES
Cd 112.41 Cd.upf
I 126.90 I.upf
CELL_PARAMETERS angstrom
2.1724 -3.7627 0.0000
2.1724 3.7627 0.0000
0.0000 0.0000 80.9642
ATOMIC_POSITIONS crystal
Cd 0.0000 0.0000 0.0227
Cd 0.0000 0.0000 0.7500
Cd 0.6667 0.3333 0.6591
Cd 0.0000 0.0000 0.2045
Cd 0.6667 0.3333 0.8409
Cd 0.6667 0.3333 0.9318
Cd 0.6667 0.3333 0.2955
Cd 0.6667 0.3333 0.4773
Cd 0.0000 0.0000 0.5682
Cd 0.6667 0.3333 0.1137
Cd 0.0000 0.0000 0.3864
I 0.6667 0.3333 0.7714
I 0.6667 0.3333 0.0441
I 0.0000 0.0000 0.6804
I 0.3333 0.6667 0.8195
I 0.6667 0.3333 0.2259
I 0.3333 0.6667 0.0923
I 0.3333 0.6667 0.2741
I 0.3333 0.6667 0.0014
I 0.0000 0.0000 0.4986
I 0.3333 0.6667 0.5468
I 0.0000 0.0000 0.1350
I 0.0000 0.0000 0.9532
I 0.6667 0.3333 0.4078
I 0.3333 0.6667 0.3650
I 0.3333 0.6667 0.6377
I 0.3333 0.6667 0.9104
I 0.3333 0.6667 0.1832
I 0.6667 0.3333 0.5895
I 0.0000 0.0000 0.3168
I 0.0000 0.0000 0.8623
I 0.3333 0.6667 0.4559
I 0.3333 0.6667 0.7286

No. 3
! CdI2 (GGA-PBE, relaxed); values from VASP
! - Magnetic moment: 0.006 μB/cell
&SYSTEM
  ibrav = 0, nat = 45, ntyp = 2
/
ATOMIC_SPECIES
I 126.90 I.upf
Cd 112.41 Cd.upf
CELL_PARAMETERS angstrom
-3.2663 -2.8598 -0.1119
3.1388 -0.4040 2.9740
-57.8044 63.2963 69.6068
ATOMIC_POSITIONS crystal
I 0.6667 0.3333 0.6990
I 0.6667 0.3333 0.8323
I 0.6667 0.3333 0.3657
I 0.0000 0.0000 0.0677
I 0.6667 0.3333 0.2990
I 0.0000 0.0000 0.6010
I 0.0000 0.0000 0.8677
I 0.3333 0.6667 0.3344
I 0.6667 0.3333 0.1657
I 0.6667 0.3333 0.9656
I 0.6667 0.3333 0.4990
I 0.0000 0.0000 0.4010
I 0.6667 0.3333 0.4323
I 0.0000 0.0000 0.4677
I 0.6667 0.3333 0.0323
I 0.6667 0.3333 0.5657
I 0.3333 0.6667 0.1344
I 0.3333 0.6667 0.0010
I 0.0000 0.0000 0.9343
I 0.6667 0.3333 0.7657
I 0.6667 0.3333 0.2323
I 0.3333 0.6667 0.5344
I 0.6667 0.3333 0.0990
I 0.6667 0.3333 0.8990
I 0.3333 0.6667 0.6677
I 0.0000 0.0000 0.2010
I 0.0000 0.0000 0.7343
I 0.3333 0.6667 0.8010
I 0.6667 0.3333 0.6323
I 0.3333 0.6667 0.2677
Cd 0.0000 0.0000 0.0167
Cd 0.0000 0.0000 0.1500
Cd 0.3333 0.6667 0.0833
Cd 0.3333 0.6667 0.7500
Cd 0.3333 0.6667 0.4833
Cd 0.3333 0.6667 0.4167
Cd 0.0000 0.0000 0.6833
Cd 0.0000 0.0000 0.2833
Cd 0.0000 0.0000 0.3500
Cd 0.3333 0.6667 0.9500
Cd 0.0000 0.0000 0.8167
Cd 0.0000 0.0000 0.5500
Cd 0.3333 0.6667 0.8833
Cd 0.3333 0.6667 0.6167
Cd 0.3333 0.6667 0.2167

No. 4
! CdI2 (GGA-PBE, relaxed); values from VASP
! - Piezoelectric modulus e_max: 0.0 C/m²
&SYSTEM
  ibrav = 0, nat = 12, ntyp = 2
/
ATOMIC_SPECIES
I 126.90 I.upf
Cd 112.41 Cd.upf
CELL_PARAMETERS angstrom
1.5760 0.9336 3.9472
-1.8141 -3.8824 -0.7560
26.1249 -10.6671 -7.9076
ATOMIC_POSITIONS crystal
I 0.3333 0.6667 0.8712
I 0.3333 0.6667 0.3712
I 0.3333 0.6667 0.1213
I 0.6667 0.3333 0.5037
I 0.0000 0.0000 0.7537
I 0.0000 0.0000 0.2537
I 0.0000 0.0000 0.0038
I 0.3333 0.6667 0.6213
Cd 0.0000 0.0000 0.5625
Cd 0.6667 0.3333 0.0625
Cd 0.6667 0.3333 0.8125
Cd 0.6667 0.3333 0.3125

No. 5
! CdI2 (GGA-PBE, relaxed); values from VASP
! - Magnetic moment: 0.001 μB/cell
&SYSTEM
  ibrav = 0, nat = 60, ntyp = 2
/
ATOMIC_SPECIES
I 126.90 I.upf
Cd 112.41 Cd.upf
CELL_PARAMETERS angstrom
2.1713 -3.7607 0.0000
2.1713 3.7607 0.0000
0.0000 0.0000 146.8012
ATOMIC_POSITIONS crystal
I 0.0000 0.0000 0.1743
I 0.0000 0.0000 0.1243
I 0.3333 0.6667 0.9507
I 0.0000 0.0000 0.2243
I 0.0000 0.0000 0.5743
I 0.0000 0.0000 0.9243
I 0.0000 0.0000 0.8743
I 0.0000 0.0000 0.3243
I 0.6667 0.3333 0.4507
I 0.0000 0.0000 0.4243
I 0.0000 0.0000 0.7243
I 0.6667 0.3333 0.3507
I 0.3333 0.6667 0.2007
I 0.3333 0.6667 0.1507
I 0.3333 0.6667 0.1007
I 0.0000 0.0000 0.0743
I 0.3333 0.6667 0.8007
I 0.0000 0.0000 0.4743
I 0.3333 0.6667 0.5007
I 0.0000 0.0000 0.6243
I 0.3333 0.6667 0.6007
I 0.0000 0.0000 0.2743
I 0.6667 0.3333 0.6507
I 0.6667 0.3333 0.5507
I 0.0000 0.0000 0.3743
I 0.0000 0.0000 0.5243
I 0.3333 0.6667 0.0507
I 0.6667 0.3333 0.7507
I 0.0000 0.0000 0.6743
I 0.0000 0.0000 0.7743
I 0.3333 0.6667 0.9007
I 0.6667 0.3333 0.0243
I 0.0000 0.0000 0.9743
I 0.3333 0.6667 0.3007
I 0.3333 0.6667 0.0007
I 0.3333 0.6667 0.7007
I 0.6667 0.3333 0.8507
I 0.6667 0.3333 0.2507
I 0.0000 0.0000 0.8243
I 0.3333 0.6667 0.4007
Cd 0.6667 0.3333 0.8125
Cd 0.6667 0.3333 0.7125
Cd 0.6667 0.3333 0.9125
Cd 0.3333 0.6667 0.4625
Cd 0.3333 0.6667 0.2625
Cd 0.3333 0.6667 0.7625
Cd 0.0000 0.0000 0.0125
Cd 0.3333 0.6667 0.3625
Cd 0.6667 0.3333 0.1125
Cd 0.3333 0.6667 0.5625
Cd 0.3333 0.6667 0.6625
Cd 0.3333 0.6667 0.8625
Cd 0.6667 0.3333 0.3125
Cd 0.6667 0.3333 0.2125
Cd 0.6667 0.3333 0.0625
Cd 0.6667 0.3333 0.1625
Cd 0.6667 0.3333 0.5125
Cd 0.6667 0.3333 0.6125
Cd 0.6667 0.3333 0.9625
Cd 0.6667 0.3333 0.4125

No. 6
! CdI2 (GGA-PBE, relaxed); values from VASP
! - Magnetic moment: 0.004 μB/cell
&SYSTEM
  ibrav = 0, nat = 42, ntyp = 2
/
ATOMIC_SPECIES
Cd 112.41 Cd.upf
I 126.90 I.upf
CELL_PARAMETERS angstrom
2.1712 -3.7605 0.0000
2.1712 3.7605 0.0000
0.0000 0.0000 103.1715
ATOMIC_POSITIONS crystal
Cd 0.6667 0.3333 0.5893
Cd 0.0000 0.0000 0.0893
Cd 0.0000 0.0000 0.8750
Cd 0.6667 0.3333 0.1607
Cd 0.0000 0.0000 0.2321
Cd 0.0000 0.0000 0.5178
Cd 0.6667 0.3333 0.3750
Cd 0.6667 0.3333 0.3036
Cd 0.0000 0.0000 0.8036
Cd 0.6667 0.3333 0.4464
Cd 0.0000 0.0000 0.6607
Cd 0.6667 0.3333 0.0179
Cd 0.0000 0.0000 0.7321
Cd 0.0000 0.0000 0.9464
I 0.3333 0.6667 0.2489
I 0.3333 0.6667 0.6775
I 0.3333 0.6667 0.1060
I 0.0000 0.0000 0.5725
I 0.3333 0.6667 0.8203
I 0.3333 0.6667 0.9632
I 0.3333 0.6667 0.5346
I 0.6667 0.3333 0.2154
I 0.3333 0.6667 0.1775
I 0.3333 0.6667 0.4632
I 0.6667 0.3333 0.5011
I 0.3333 0.6667 0.0346
I 0.0000 0.0000 0.3582
I 0.6667 0.3333 0.0725
I 0.3333 0.6667 0.3203
I 0.0000 0.0000 0.4297
I 0.3333 0.6667 0.8917
I 0.3333 0.6667 0.6060
I 0.0000 0.0000 0.0011
I 0.6667 0.3333 0.8583
I 0.3333 0.6667 0.3917
I 0.6667 0.3333 0.6439
I 0.6667 0.3333 0.7868
I 0.6667 0.3333 0.7154
I 0.3333 0.6667 0.7489
I 0.6667 0.3333 0.9297
I 0.0000 0.0000 0.2868
I 0.0000 0.0000 0.1440

No. 7
! CdI2 (GGA-PBE, relaxed); values from VASP
! - Magnetic moment: 0.004 μB/cell
&SYSTEM
  ibrav = 0, nat = 75, ntyp = 2
/
ATOMIC_SPECIES
I 126.90 I.upf
Cd 112.41 Cd.upf
CELL_PARAMETERS angstrom
2.1683 -3.7556 0.0000
2.1683 3.7556 0.0000
0.0000 0.0000 184.0340
ATOMIC_POSITIONS crystal
I 0.3333 0.6667 0.5794
I 0.0000 0.0000 0.6806
I 0.3333 0.6667 0.7394
I 0.0000 0.0000 0.9206
I 0.6667 0.3333 0.5394
I 0.0000 0.0000 0.8406
I 0.0000 0.0000 0.7606
I 0.3333 0.6667 0.0994
I 0.6667 0.3333 0.0594
I 0.3333 0.6667 0.8194
I 0.6667 0.3333 0.2994
I 0.0000 0.0000 0.8006
I 0.6667 0.3333 0.7794
I 0.0000 0.0000 0.8806
I 0.0000 0.0000 0.3206
I 0.6667 0.3333 0.6994
I 0.6667 0.3333 0.1394
I 0.3333 0.6667 0.1794
I 0.3333 0.6667 0.3394
I 0.3333 0.6667 0.4994
I 0.0000 0.0000 0.9606
I 0.6667 0.3333 0.9794
I 0.0000 0.0000 0.4806
I 0.0000 0.0000 0.1206
I 0.0000 0.0000 0.4006
I 0.3333 0.6667 0.2594
I 0.0000 0.0000 0.0406
I 0.6667 0.3333 0.9394
I 0.0000 0.0000 0.2806
I 0.0000 0.0000 0.5206
I 0.0000 0.0000 0.5606
I 0.6667 0.3333 0.2194
I 0.6667 0.3333 0.4594
I 0.3333 0.6667 0.0194
I 0.0000 0.0000 0.6006
I 0.0000 0.0000 0.4406
I 0.0000 0.0000 0.7206
I 0.0000 0.0000 0.0006
I 0.0000 0.0000 0.6406
I 0.0000 0.0000 0.0806
I 0.6667 0.3333 0.3794
I 0.0000 0.0000 0.3606
I 0.6667 0.3333 0.8594
I 0.0000 0.0000 0.2406
I 0.3333 0.6667 0.8994
I 0.0000 0.0000 0.1606
I 0.0000 0.0000 0.2006
I 0.3333 0.6667 0.4194
I 0.3333 0.6667 0.6594
I 0.6667 0.3333 0.6194
Cd 0.6667 0.3333 0.3300
Cd 0.6667 0.3333 0.0900
Cd 0.6667 0.3333 0.1700
Cd 0.6667 0.3333 0.2500
Cd 0.3333 0.6667 0.1300
Cd 0.6667 0.3333 0.5700
Cd 0.3333 0.6667 0.9300
Cd 0.6667 0.3333 0.4900
Cd 0.3333 0.6667 0.9700
Cd 0.3333 0.6667 0.8500
Cd 0.3333 0.6667 0.0500
Cd 0.3333 0.6667 0.7700
Cd 0.3333 0.6667 0.2900
Cd 0.3333 0.6667 0.5300
Cd 0.3333 0.6667 0.6900
Cd 0.6667 0.3333 0.7300
Cd 0.3333 0.6667 0.6100
Cd 0.3333 0.6667 0.2100
Cd 0.6667 0.3333 0.6500
Cd 0.6667 0.3333 0.8100
Cd 0.6667 0.3333 0.8900
Cd 0.6667 0.3333 0.0100
Cd 0.3333 0.6667 0.3700
Cd 0.3333 0.6667 0.4500
Cd 0.6667 0.3333 0.4100

No. 8
! CdI2 (GGA-PBE, relaxed); values from VASP
! - Magnetic moment: 0.000 μB/cell
&SYSTEM
  ibrav = 0, nat = 12, ntyp = 2
/
ATOMIC_SPECIES
I 126.90 I.upf
Cd 112.41 Cd.upf
CELL_PARAMETERS angstrom
-14.0743 9.7373 24.4388
-17.6677 9.7093 21.9940
-16.4587 6.1173 24.1215
ATOMIC_POSITIONS crystal
I 0.6890 0.6890 0.6890
I 0.6057 0.6057 0.6057
I 0.3110 0.3110 0.3110
I 0.2276 0.2276 0.2276
I 0.1443 0.1443 0.1443
I 0.7724 0.7724 0.7724
I 0.3943 0.3943 0.3943
I 0.8557 0.8557 0.8557
Cd 0.4584 0.4584 0.4584
Cd 0.0416 0.0416 0.0416
Cd 0.5416 0.5416 0.5416
Cd 0.9584 0.9584 0.9584

No. 9
First-principles (GGA-PBE) data for a relaxed CdI2 crystal, as listed in the Materials Project. Values from VASP.

Geometry as Quantum ESPRESSO input:
```
&SYSTEM
  ibrav = 0, nat = 27, ntyp = 2
/
ATOMIC_SPECIES
Cd 112.41 Cd.upf
I 126.90 I.upf
CELL_PARAMETERS angstrom
0.0555 1.4566 4.0944
-2.2755 2.1255 -3.0320
-53.0421 -36.9884 13.8781
ATOMIC_POSITIONS crystal
Cd 0.3333 0.6667 0.3611
Cd 0.0000 0.0000 0.0278
Cd 0.0000 0.0000 0.9167
Cd 0.0000 0.0000 0.2500
Cd 0.0000 0.0000 0.6944
Cd 0.3333 0.6667 0.1389
Cd 0.0000 0.0000 0.8056
Cd 0.0000 0.0000 0.5833
Cd 0.3333 0.6667 0.4722
I 0.3333 0.6667 0.6683
I 0.3333 0.6667 0.7795
I 0.6667 0.3333 0.8317
I 0.6667 0.3333 0.0539
I 0.0000 0.0000 0.3350
I 0.6667 0.3333 0.2761
I 0.6667 0.3333 0.1650
I 0.3333 0.6667 0.2239
I 0.0000 0.0000 0.4461
I 0.0000 0.0000 0.1128
I 0.6667 0.3333 0.4984
I 0.6667 0.3333 0.3872
I 0.3333 0.6667 0.0017
I 0.6667 0.3333 0.7205
I 0.3333 0.6667 0.5572
I 0.3333 0.6667 0.8906
I 0.6667 0.3333 0.6094
I 0.6667 0.3333 0.9428
```

No. 10
! CdI2 (GGA-PBE, relaxed); values from VASP
! - Magnetic moment: 0.001 μB/cell
&SYSTEM
  ibrav = 0, nat = 60, ntyp = 2
/
ATOMIC_SPECIES
I 126.90 I.upf
Cd 112.41 Cd.upf
CELL_PARAMETERS angstrom
-3.7434 -1.2768 1.7922
1.2375 -1.6238 -3.8324
70.1471 -109.0243 68.8457
ATOMIC_POSITIONS crystal
I 0.3333 0.6667 0.1007
I 0.3333 0.6667 0.0507
I 0.3333 0.6667 0.2007
I 0.6667 0.3333 0.4243
I 0.3333 0.6667 0.3007
I 0.3333 0.6667 0.9507
I 0.0000 0.0000 0.8743
I 0.6667 0.3333 0.9007
I 0.6667 0.3333 0.2243
I 0.3333 0.6667 0.2507
I 0.6667 0.3333 0.1243
I 0.0000 0.0000 0.0743
I 0.0000 0.0000 0.9243
I 0.6667 0.3333 0.0243
I 0.3333 0.6667 0.4007
I 0.3333 0.6667 0.6507
I 0.6667 0.3333 0.6243
I 0.0000 0.0000 0.4743
I 0.3333 0.6667 0.7507
I 0.3333 0.6667 0.0007
I 0.6667 0.3333 0.8007
I 0.0000 0.0000 0.9743
I 0.3333 0.6667 0.8507
I 0.3333 0.6667 0.5007
I 0.0000 0.0000 0.1743
I 0.0000 0.0000 0.2743
I 0.3333 0.6667 0.3507
I 0.6667 0.3333 0.5243
I 0.3333 0.6667 0.5507
I 0.3333 0.6667 0.4507
I 0.3333 0.6667 0.1507
I 0.6667 0.3333 0.3243
I 0.0000 0.0000 0.5743
I 0.6667 0.3333 0.7007
I 0.0000 0.0000 0.3743
I 0.3333 0.6667 0.6007
I 0.0000 0.0000 0.8243
I 0.0000 0.0000 0.7243
I 0.0000 0.0000 0.6743
I 0.0000 0.0000 0.7743
Cd 0.6667 0.3333 0.8625
Cd 0.0000 0.0000 0.0125
Cd 0.0000 0.0000 0.1125
Cd 0.0000 0.0000 0.4125
Cd 0.3333 0.6667 0.8125
Cd 0.3333 0.6667 0.7125
Cd 0.6667 0.3333 0.7625
Cd 0.6667 0.3333 0.6625
Cd 0.6667 0.3333 0.4625
Cd 0.0000 0.0000 0.5125
Cd 0.6667 0.3333 0.2625
Cd 0.6667 0.3333 0.1625
Cd 0.3333 0.6667 0.9125
Cd 0.0000 0.0000 0.6125
Cd 0.6667 0.3333 0.0625
Cd 0.6667 0.3333 0.9625
Cd 0.0000 0.0000 0.2125
Cd 0.6667 0.3333 0.5625
Cd 0.6667 0.3333 0.3625
Cd 0.0000 0.0000 0.3125

Formation energy from the elements, respectively: -801, -837, -837, -837, -837, -838, -838, -801, -837, -837 meV per atom.
V, respectively: 482, 1324, 1804, 481, 2397, 1685, 2997, 486, 1082, 2397 Å³/cell.
Total energy, respectively: -22.46, -62.97, -85.88, -22.90, -114.50, -80.16, -143.15, -22.46, -51.53, -114.50 eV per cell.